[1]
! PBE+U Li4VCr3O8, optimized geometry; values from VASP
! Symmetry   P-1
! Polymorph energy (0 for the lowest one)   0.154 eV per formula unit
! Energy   -6.920 eV/atom
! Formation energy from the elements   -2.416 eV per atom
&SYSTEM
  ibrav = 0, nat = 32, ntyp = 4
/
ATOMIC_SPECIES
Li 6.94 Li.upf
V 50.94 V.upf
Cr 52.00 Cr.upf
O 16.00 O.upf
CELL_PARAMETERS angstrom
1.5005 0.8635 4.8573
5.9622 0.0126 0.0099
-2.9587 10.3005 -0.0019
ATOMIC_POSITIONS angstrom
Li -1.4732 7.7269 0.0000
Li 1.4998 0.8777 4.8567
Li 0.0114 5.1394 0.0018
Li 1.4989 2.5750 0.0057
Li 1.5068 7.7335 0.0053
Li 4.4891 0.8751 4.8492
Li 2.9853 5.1540 0.0190
Li 5.9751 3.4542 4.8631
V -1.4523 9.4353 2.4265
V 0.0050 6.8823 2.4306
Cr 1.4969 4.2972 2.4328
Cr 1.5316 9.4568 2.4297
Cr 2.9965 1.7247 2.4328
Cr 2.9836 6.8732 2.4376
Cr 4.4773 4.3048 2.4355
Cr 5.9770 1.7322 2.4361
O 0.0110 3.4386 1.3408
O 0.0026 5.1508 3.5219
O 0.0443 8.6002 1.3150
O 0.0556 10.3143 3.5290
O 1.5010 2.5782 3.5180
O 1.5089 0.8662 1.3367
O 1.4993 6.0138 1.3444
O 1.5173 7.7530 3.5348
O 2.9895 3.4424 1.3466
O 2.9819 5.1542 3.5252
O 2.9986 8.5775 1.3327
O 3.0156 10.3166 3.5230
O 4.4921 0.8752 1.3435
O 4.4587 6.0153 1.3375
O 4.4844 2.5869 3.5219
O 4.4712 7.7294 3.5519

***

[2]
! PBE+U Na5W13O39, optimized geometry; values from VASP
! Symmetry   P-1
! Energy   -7.165 eV/atom
! Formation energy from the elements   -2.190 eV per atom
&SYSTEM
  ibrav = 0, nat = 57, ntyp = 3
/
ATOMIC_SPECIES
Na 22.99 Na.upf
W 183.84 W.upf
O 16.00 O.upf
CELL_PARAMETERS angstrom
8.7195 0.0000 0.0000
0.0004 9.5491 0.0000
-1.7430 -1.5897 9.2542
ATOMIC_POSITIONS angstrom
Na 5.2295 8.7572 2.4926
Na 1.7473 -0.7978 6.7616
Na 6.9701 3.9758 0.3581
Na 3.4884 3.9797 4.6271
Na 0.0067 3.9836 8.8961
W 4.3816 7.1713 5.3571
W 6.1166 3.9947 6.7507
W 4.3758 -0.8059 8.8979
W -0.8715 -0.7949 4.6271
W 6.1182 2.3774 3.2248
W 7.8597 7.1827 1.0794
W 0.8586 5.5820 6.0294
W 2.6165 2.3867 7.4672
W -0.8829 0.7767 8.1748
W 2.5952 0.7881 3.8971
W 0.8602 3.9646 2.5035
W 2.6010 8.7653 0.3563
W 4.3603 5.5727 1.7869
O 4.3367 7.9675 7.1189
O 4.3598 3.1848 7.1172
O 6.0950 7.9660 4.9596
O 6.9608 8.7529 0.3778
O 6.0814 3.1940 4.9821
O 5.2320 3.9799 2.4928
O 5.2167 5.5558 6.0368
O 0.0179 7.1778 5.3524
O 0.8709 6.3676 7.8294
O -0.8478 -0.0070 6.4123
O 6.9757 2.4057 7.5084
O 6.9589 0.7816 3.9018
O 6.1059 1.5918 1.4247
O 7.8246 7.9664 2.8419
O 0.8749 1.5927 7.8286
O 2.6186 6.3687 5.6944
O -0.8608 4.7700 6.4293
O 0.8818 -0.0066 4.2946
O 6.1020 6.3667 1.4256
O 7.8376 3.1894 2.8249
O 6.0941 0.0227 8.5514
O 0.8828 7.9367 0.7028
O 0.0011 5.5537 1.7458
O 0.8954 4.7654 4.2720
O 1.7601 2.4036 3.2173
O 3.4882 7.1603 1.0690
O 3.4882 -0.7949 4.6271
O 2.6156 1.5932 5.6948
O 1.7448 3.9795 6.7614
O 0.0160 -0.7935 8.8764
O 4.3612 6.3662 3.5594
O 2.6401 -0.0081 2.1352
O 0.8526 3.2122 0.6967
O 6.1242 4.7471 8.5575
O 4.3583 1.5907 3.5597
O 4.3597 0.0000 0.0000
O 2.6170 4.7746 2.1370
O 3.4887 0.7991 8.1852
O 4.3599 4.7746 0.0000

***

[3]
! PBE+U Mn6O5F7, optimized geometry; values from VASP
! Symmetry   P1
! Piezoelectric modulus e_max   1.11 C/m2
! Polymorph energy (0 for the lowest one)   0.340 eV per formula unit
! Energy   -6.668 eV/atom
! Formation energy from the elements   -2.422 eV per atom
&SYSTEM
  ibrav = 0, nat = 18, ntyp = 3
/
ATOMIC_SPECIES
Mn 54.94 Mn.upf
O 16.00 O.upf
F 19.00 F.upf
CELL_PARAMETERS angstrom
-2.6936 -0.7444 3.8954
-4.3343 -2.4989 -2.8318
2.6711 -7.3838 0.9356
ATOMIC_POSITIONS angstrom
Mn -3.6705 -1.7854 0.6083
Mn -3.2491 -7.2365 0.2684
Mn -1.0870 -3.3505 1.6970
Mn -2.3469 -6.5216 3.5622
Mn -4.6610 -4.7702 2.2858
Mn -6.9467 -3.2482 1.0839
O -5.0801 -3.1284 1.2961
O -2.2113 -7.5035 1.9209
O -4.5225 -5.8634 0.6313
O 0.1759 -4.7640 1.3414
O -2.1840 -3.1384 0.0958
F -2.5506 -4.7671 2.5105
F -0.2559 -6.4716 3.7221
F -2.3884 -1.8969 2.2555
F -1.9781 -8.6947 -0.2605
F -1.7182 -5.7680 -0.5627
F -4.1708 -4.1745 -1.7213
F 0.7552 -7.5442 0.7501

***

Number 1: theoretical density 4.04 Mg/m³. Number 2: theoretical density 6.74 Mg/m³. Number 3: theoretical density 4.17 Mg/m³.